(1)
This record from the Materials Project describes a geometry-optimized Cs8ZrMo6O24 structure. The functional is PBE+U.

a b c (Å): 11.3201 11.3201 8.5753
angles (deg): 99.21 99.21 123.46
Element x y z (fractional)
Cs1 0.0212 0.3673 0.6101
Cs2 0.1654 0.8346 0.0000
Cs3 0.2865 0.2865 0.8579
Cs4 0.3673 0.0212 0.6101
Cs5 0.6327 0.9788 0.3899
Cs6 0.7135 0.7135 0.1421
Cs7 0.8346 0.1654 0.0000
Cs8 0.9788 0.6327 0.3899
Zr1 0.5000 0.5000 0.5000
Mo1 0.1233 0.1233 0.2977
Mo2 0.2441 0.5507 0.2210
Mo3 0.4493 0.7559 0.7790
Mo4 0.5507 0.2441 0.2210
Mo5 0.7559 0.4493 0.7790
Mo6 0.8767 0.8767 0.7023
O1 0.0424 0.8980 0.6863
O2 0.0939 0.4375 0.2950
O3 0.1020 0.9576 0.3137
O4 0.1476 0.1476 0.1038
O5 0.1885 0.4750 0.0018
O6 0.2683 0.7128 0.7235
O7 0.2872 0.7317 0.2765
O8 0.2923 0.2923 0.4622
O9 0.4086 0.5572 0.3177
O10 0.4375 0.0939 0.2950
O11 0.4428 0.5914 0.6823
O12 0.4750 0.1885 0.0018
O13 0.5250 0.8115 0.9982
O14 0.5572 0.4086 0.3177
O15 0.5625 0.9061 0.7050
O16 0.5914 0.4428 0.6823
O17 0.7077 0.7077 0.5378
O18 0.7128 0.2683 0.7235
O19 0.7317 0.2872 0.2765
O20 0.8115 0.5250 0.9982
O21 0.8524 0.8524 0.8962
O22 0.8980 0.0424 0.6863
O23 0.9061 0.5625 0.7050
O24 0.9576 0.1020 0.3137

Output
DFT formation energy   -89.8 eV/f.u.



(2)
This record from the Materials Project describes a geometry-optimized Cs2NaVO4 structure. The functional is PBE+U.

a b c (Å): 6.1914 6.2830 8.4356
angles (deg): 90.00 93.12 90.00
Element x y z (fractional)
Cs1 0.1487 0.2500 0.1810
Cs2 0.2980 0.7500 0.5137
Cs3 0.7020 0.2500 0.4863
Cs4 0.8513 0.7500 0.8190
Na1 0.3721 0.7500 0.0274
Na2 0.6279 0.2500 0.9726
V1 0.2043 0.2500 0.7583
V2 0.7957 0.7500 0.2417
O1 0.0626 0.7500 0.1807
O2 0.2019 0.2500 0.5514
O3 0.3420 0.0251 0.8345
O4 0.3420 0.4749 0.8345
O5 0.6580 0.5251 0.1655
O6 0.6580 0.9749 0.1655
O7 0.7981 0.7500 0.4486
O8 0.9374 0.2500 0.8193

Output
DFT formation energy   -18.4 eV/f.u.



(3)
This record from the Materials Project describes a geometry-optimized CsNbWO6 structure. The functional is PBE+U.

a b c (Å): 7.4734 7.4734 7.4734
angles (deg): 120.37 119.78 89.87
Element x y z (fractional)
Cs1 0.3760 0.1260 0.2500
Cs2 0.6240 0.8740 0.7500
Nb1 0.0000 0.5000 0.5000
Nb2 0.5000 0.5000 0.0000
W1 0.0000 0.0000 0.5000
W2 0.0000 0.5000 0.0000
O1 0.0596 0.4383 0.2425
O2 0.0595 0.8095 0.2500
O3 0.0596 0.8171 0.6213
O4 0.3042 0.1829 0.7425
O5 0.3042 0.5617 0.1213
O6 0.3117 0.5617 0.7500
O7 0.6883 0.4383 0.2500
O8 0.6958 0.4383 0.8787
O9 0.6958 0.8171 0.2575
O10 0.9404 0.1829 0.3787
O11 0.9405 0.1905 0.7500
O12 0.9404 0.5617 0.7575

Output
DFT formation energy   -23.7 eV/f.u.



(4)
This record from the Materials Project describes a geometry-optimized CsNdW2O8 structure. The functional is PBE+U.

a b c (Å): 7.7945 7.7945 7.6308
angles (deg): 116.90 116.90 89.84
Element x y z (fractional)
Cs1 0.1980 0.8020 0.7500
Cs2 0.8020 0.1980 0.2500
Nd1 0.2244 0.7756 0.2500
Nd2 0.7756 0.2244 0.7500
W1 0.3042 0.3160 0.2812
W2 0.3160 0.3042 0.7812
W3 0.6840 0.6958 0.2188
W4 0.6958 0.6840 0.7188
O1 0.0582 0.2166 0.6989
O2 0.0711 0.3811 0.1336
O3 0.2166 0.0582 0.1989
O4 0.2544 0.3790 0.5645
O5 0.3725 0.5846 0.0298
O6 0.3790 0.2544 0.0645
O7 0.3811 0.0711 0.6336
O8 0.4154 0.6275 0.4702
O9 0.5846 0.3725 0.5298
O10 0.6189 0.9289 0.3664
O11 0.6210 0.7456 0.9355
O12 0.6275 0.4154 0.9702
O13 0.7456 0.6210 0.4355
O14 0.7834 0.9418 0.8011
O15 0.9289 0.6189 0.8664
O16 0.9418 0.7834 0.3011

Output
DFT formation energy   -31.6 eV/f.u.



(5)
This record from the Materials Project describes a geometry-optimized Cs2NiO2 structure. The functional is PBE+U.

a b c (Å): 4.4950 7.5199 8.9898
angles (deg): 107.39 89.99 72.61
Element x y z (fractional)
O1 0.8737 0.2526 0.0631
O2 0.1263 0.7474 0.9369
O3 0.8737 0.2526 0.5631
O4 0.1263 0.7474 0.4369
Cs1 0.3467 0.3066 0.3266
Cs2 0.6533 0.6934 0.1734
Cs3 0.3467 0.3066 0.8266
Cs4 0.6533 0.6934 0.6734
Ni1 0.0000 0.0000 0.5000
Ni2 0.0000 0.0000 0.0000

Output
DFT formation energy   -6.3 eV/f.u.



(6)
This record from the Materials Project describes a geometry-optimized Cs2TiV3P3O18 structure. The functional is PBE+U.

a b c (Å): 13.9071 13.9071 9.6881
angles (deg): 90.00 90.00 120.00
Element x y z (fractional)
Cs1 0.0000 0.0000 0.0000
Cs2 0.0000 0.0000 0.5000
Cs3 0.0000 0.5000 0.4589
Cs4 0.0000 0.5000 0.9589
Cs5 0.5000 0.0000 0.4589
Cs6 0.5000 0.0000 0.9589
Cs7 0.5000 0.5000 0.4589
Cs8 0.5000 0.5000 0.9589
Ti1 0.3333 0.6667 0.4525
Ti2 0.3333 0.6667 0.9525
Ti3 0.6667 0.3333 0.4525
Ti4 0.6667 0.3333 0.9525
V1 0.0260 0.2605 0.2498
V2 0.0260 0.7655 0.7498
V3 0.2345 0.2605 0.7498
V4 0.2345 0.9740 0.2498
V5 0.2605 0.0260 0.7498
V6 0.2605 0.2345 0.2498
V7 0.7395 0.7655 0.2498
V8 0.7395 0.9740 0.7498
V9 0.7655 0.0260 0.2498
V10 0.7655 0.7395 0.7498
V11 0.9740 0.2345 0.7498
V12 0.9740 0.7395 0.2498
P1 0.1992 0.4740 0.7027
P2 0.1992 0.7251 0.2027
P3 0.2749 0.4740 0.2027
P4 0.2749 0.8008 0.7027
P5 0.4740 0.1992 0.2027
P6 0.4740 0.2749 0.7027
P7 0.5260 0.7251 0.7027
P8 0.5260 0.8008 0.2027
P9 0.7251 0.1992 0.7027
P10 0.7251 0.5260 0.2027
P11 0.8008 0.2749 0.2027
P12 0.8008 0.5260 0.7027
O1 0.0246 0.2618 0.4173
O2 0.0246 0.7628 0.9173
O3 0.0716 0.3929 0.7022
O4 0.0716 0.6787 0.2022
O5 0.0906 0.2150 0.7044
O6 0.0906 0.8756 0.2044
O7 0.1244 0.2150 0.2044
O8 0.1244 0.9094 0.7044
O9 0.1465 0.4134 0.2014
O10 0.1465 0.7331 0.7014
O11 0.2150 0.0906 0.2044
O12 0.2150 0.1244 0.7044
O13 0.2254 0.5471 0.8339
O14 0.2254 0.5475 0.5725
O15 0.2254 0.6779 0.0725
O16 0.2254 0.6783 0.3339
O17 0.2372 0.2618 0.9173
O18 0.2372 0.9754 0.4173
O19 0.2618 0.0246 0.9173
O20 0.2618 0.2372 0.4173
O21 0.2669 0.4134 0.7014
O22 0.2669 0.8535 0.2014
O23 0.3213 0.3929 0.2022
O24 0.3213 0.9284 0.7022
O25 0.3217 0.5471 0.3339
O26 0.3221 0.5475 0.0725
O27 0.3221 0.7746 0.5725
O28 0.3217 0.7746 0.8339
O29 0.3929 0.0716 0.2022
O30 0.3929 0.3213 0.7022
O31 0.4134 0.1465 0.7014
O32 0.4134 0.2669 0.2014
O33 0.4525 0.6779 0.5725
O34 0.4525 0.7746 0.0725
O35 0.4529 0.6783 0.8339
O36 0.4529 0.7746 0.3339
O37 0.5471 0.2254 0.3339
O38 0.5471 0.3217 0.8339
O39 0.5475 0.2254 0.0725
O40 0.5475 0.3221 0.5725
O41 0.5866 0.7331 0.2014
O42 0.5866 0.8535 0.7014
O43 0.6071 0.6787 0.7022
O44 0.6071 0.9284 0.2022
O45 0.6779 0.2254 0.5725
O46 0.6783 0.2254 0.8339
O47 0.6779 0.4525 0.0725
O48 0.6783 0.4529 0.3339
O49 0.6787 0.0716 0.7022
O50 0.6787 0.6071 0.2022
O51 0.7331 0.1465 0.2014
O52 0.7331 0.5866 0.7014
O53 0.7382 0.7628 0.4173
O54 0.7382 0.9754 0.9173
O55 0.7628 0.0246 0.4173
O56 0.7628 0.7382 0.9173
O57 0.7746 0.3221 0.0725
O58 0.7746 0.3217 0.3339
O59 0.7746 0.4525 0.5725
O60 0.7746 0.4529 0.8339
O61 0.7850 0.8756 0.7044
O62 0.7850 0.9094 0.2044
O63 0.8535 0.2669 0.7014
O64 0.8535 0.5866 0.2014
O65 0.8756 0.0906 0.7044
O66 0.8756 0.7850 0.2044
O67 0.9094 0.1244 0.2044
O68 0.9094 0.7850 0.7044
O69 0.9284 0.3213 0.2022
O70 0.9284 0.6071 0.7022
O71 0.9754 0.2372 0.9173
O72 0.9754 0.7382 0.4173

Output
DFT formation energy   -72.6 eV/f.u.



(7)
This record from the Materials Project describes a geometry-optimized CsV2P5O16 structure. The functional is PBE+U.

a b c (Å): 7.6788 9.5934 10.4291
angles (deg): 90.00 111.91 90.00
Element x y z (fractional)
Cs1 0.0000 0.1944 0.0000
Cs2 0.0000 0.8056 0.5000
V1 0.3808 0.1433 0.7868
V2 0.3808 0.8567 0.2868
V3 0.9279 0.3688 0.3911
V4 0.9279 0.6312 0.8911
P1 0.1285 0.4176 0.7287
P2 0.1285 0.5824 0.2287
P3 0.2807 0.1267 0.4508
P4 0.2807 0.8733 0.9508
P5 0.5175 0.4596 0.7606
P6 0.5175 0.5404 0.2606
P7 0.5725 0.2938 0.1265
P8 0.5725 0.7062 0.6265
P9 0.6141 0.1395 0.3805
P10 0.6141 0.8605 0.8805
O1 0.0213 0.4702 0.8144
O2 0.0213 0.5298 0.3144
O3 0.0441 0.4588 0.5771
O4 0.0441 0.5412 0.0771
O5 0.1547 0.2529 0.4044
O6 0.1547 0.7471 0.9044
O7 0.1584 0.2601 0.7497
O8 0.1584 0.7399 0.2497
O9 0.2324 0.0107 0.3426
O10 0.2324 0.9893 0.8426
O11 0.3018 0.0705 0.5939
O12 0.3018 0.9295 0.0939
O13 0.3342 0.4956 0.7927
O14 0.3342 0.5044 0.2927
O15 0.4829 0.2305 0.9869
O16 0.4829 0.7695 0.4869
O17 0.4856 0.4482 0.1217
O18 0.4856 0.5518 0.6217
O19 0.4931 0.1813 0.4682
O20 0.4931 0.8187 0.9682
O21 0.4977 0.2127 0.2322
O22 0.4977 0.7873 0.7322
O23 0.5179 0.3068 0.7282
O24 0.5179 0.6932 0.2282
O25 0.6118 0.0169 0.8569
O26 0.6118 0.9831 0.3569
O27 0.6873 0.4819 0.3742
O28 0.6873 0.5181 0.8742
O29 0.7845 0.2979 0.1897
O30 0.7845 0.7021 0.6897
O31 0.8080 0.2001 0.4474
O32 0.8080 0.7999 0.9474

Output
DFT formation energy   -64.9 eV/f.u.



(8)
This record from the Materials Project describes a geometry-optimized CsVPO5 structure. The functional is PBE+U.

a b c (Å): 7.5705 7.8194 9.9204
angles (deg): 90.00 90.00 90.00
Element x y z (fractional)
Cs1 0.1291 0.1342 0.3374
Cs2 0.3709 0.8658 0.8374
Cs3 0.6291 0.3658 0.6626
Cs4 0.8709 0.6342 0.1626
V1 0.1129 0.5733 0.5423
V2 0.3871 0.4267 0.0423
V3 0.6129 0.9267 0.4577
V4 0.8871 0.0733 0.9577
P1 0.1578 0.3698 0.8462
P2 0.3422 0.6302 0.3462
P3 0.6578 0.1302 0.1538
P4 0.8422 0.8698 0.6538
O1 0.0128 0.7619 0.6555
O2 0.0511 0.9606 0.0209
O3 0.1590 0.5099 0.9601
O4 0.1773 0.7388 0.3918
O5 0.1908 0.4498 0.7071
O6 0.3092 0.5502 0.2071
O7 0.3227 0.2612 0.8918
O8 0.3410 0.4901 0.4601
O9 0.4489 0.0394 0.5209
O10 0.4872 0.2381 0.1555
O11 0.5128 0.7381 0.3445
O12 0.5511 0.5394 0.9791
O13 0.6590 0.9901 0.0399
O14 0.6773 0.7612 0.6082
O15 0.6908 0.0502 0.2929
O16 0.8092 0.9498 0.7929
O17 0.8227 0.2388 0.1082
O18 0.8410 0.0099 0.5399
O19 0.9489 0.4606 0.4791
O20 0.9872 0.2619 0.8445

Output
DFT formation energy   -21.2 eV/f.u.



(9)
This record from the Materials Project describes a geometry-optimized CsVZnP6O18 structure. The functional is PBE+U.

a b c (Å): 6.4397 8.5766 15.9806
angles (deg): 99.97 91.04 103.82
Element x y z (fractional)
Cs1 0.0000 0.0000 0.0000
Cs2 0.4998 0.4994 0.5001
V1 0.3207 0.6802 0.8625
V2 0.8206 0.1804 0.3624
Zn1 0.0460 0.8506 0.5856
Zn2 0.5461 0.3504 0.0855
P1 0.0288 0.5299 0.6783
P2 0.0719 0.4362 0.1167
P3 0.2860 0.0836 0.3319
P4 0.3254 0.9941 0.7694
P5 0.4185 0.6950 0.0664
P6 0.4373 0.3284 0.8813
P7 0.5292 0.0301 0.1782
P8 0.5716 0.9361 0.6163
P9 0.7860 0.5841 0.8320
P10 0.8248 0.4939 0.2696
P11 0.9185 0.1950 0.5662
P12 0.9368 0.8285 0.3813
O1 0.0049 0.3375 0.6480
O2 0.0104 0.6051 0.6021
O3 0.0338 0.4912 0.2163
O4 0.0694 0.0867 0.5590
O5 0.1208 0.9307 0.7159
O6 0.1355 0.1948 0.3414
O7 0.1776 0.9109 0.3571
O8 0.1854 0.6138 0.0946
O9 0.2252 0.3291 0.1111
O10 0.2288 0.5898 0.7375
O11 0.2992 0.4482 0.8817
O12 0.3185 0.0316 0.2323
O13 0.3500 0.9169 0.8463
O14 0.3545 0.1882 0.7992
O15 0.3646 0.8700 0.5639
O16 0.3807 0.7704 0.9900
O17 0.4491 0.2514 0.9573
O18 0.4995 0.1526 0.3807
O19 0.5062 0.8378 0.1480
O20 0.5105 0.1050 0.1020
O21 0.5339 0.9914 0.7159
O22 0.5693 0.5865 0.0590
O23 0.6205 0.4305 0.2158
O24 0.6350 0.6949 0.8413
O25 0.6784 0.4116 0.8575
O26 0.6850 0.1133 0.5938
O27 0.7250 0.8289 0.6109
O28 0.7292 0.0906 0.2374
O29 0.7994 0.9488 0.3817
O30 0.8181 0.5317 0.7324
O31 0.8488 0.4166 0.3465
O32 0.8531 0.6880 0.2993
O33 0.8650 0.3705 0.0641
O34 0.8823 0.2712 0.4898
O35 0.9485 0.7516 0.4573
O36 0.9991 0.6545 0.8808

Output
Offset from the most stable computed form   0 meV per atom
DFT formation energy   -70.7 eV/f.u.